1.
VASP calculation (PBE) on a geometry-optimized KMg14Ga structure.

## Properties
V: 24.10 Å³/atom
Energy of formation from the pure elements: 0.085 eV per atom
Energy above the lowest structure with this stoichiometry: 14 meV per atom

Cell and atoms, written as POSCAR:
```
KMg14Ga
1.0
6.458 0.000 0.000
-3.229 5.593 0.000
0.000 0.000 10.676
K Mg Ga
1 14 1
Direct
0.000 0.000 0.000
0.006 0.503 0.000
0.168 0.337 0.263
0.168 0.337 0.737
0.168 0.832 0.263
0.168 0.832 0.737
0.497 0.503 0.000
0.497 0.994 0.000
0.501 0.002 0.500
0.501 0.499 0.500
0.663 0.832 0.263
0.663 0.832 0.737
0.667 0.333 0.245
0.667 0.333 0.755
0.998 0.499 0.500
0.000 0.000 0.500
```

---

2.
VASP calculation (PBE) on a geometry-optimized KMg14Ga structure.

## Properties
V: 23.96 Å³/atom
Energy of formation from the pure elements: 0.071 eV per atom
Energy above the lowest structure with this stoichiometry: 0 meV per atom
Magnetization: 0.0 μB per cell

Cell and atoms, written as POSCAR:
```
KMg14Ga
1.0
10.553 0.000 0.000
0.000 3.254 5.581
0.000 -3.254 5.581
K Mg Ga
1 14 1
Direct
0.000 0.000 0.000
0.000 0.009 0.495
0.000 0.495 0.009
0.241 0.664 0.664
0.258 0.174 0.657
0.258 0.657 0.174
0.263 0.171 0.171
0.500 0.499 0.499
0.500 0.501 0.997
0.500 0.997 0.501
0.500 0.998 0.998
0.737 0.171 0.171
0.742 0.174 0.657
0.742 0.657 0.174
0.759 0.664 0.664
0.000 0.487 0.487
```

---

> Which value of energy of formation from the pure elements does entry 2 give?

0.071 eV per atom

---

> Which value of energy of formation from the pure elements does entry 1 give?

0.085 eV per atom